# Sr2Li3TaN4 PBE relaxed
# Calculated formation energy, eV per atom: -1.06
# Theoretical density, Mg/m³: 5.17
data_Sr2Li3TaN4
_space_group_name_H-M_alt 'P n n m'
_space_group_IT_number 58
_cell_length_a 8.743
_cell_length_b 9.036
_cell_length_c 7.041
_cell_angle_alpha 90.00
_cell_angle_beta 90.00
_cell_angle_gamma 90.00
loop_
_space_group_symop_operation_xyz
'x,y,z'
'-x,-y,-z'
'-x,-y,z'
'x,y,-z'
'x+1/2,-y+1/2,-z+1/2'
'-x+1/2,y+1/2,z+1/2'
'-x+1/2,y+1/2,-z+1/2'
'x+1/2,-y+1/2,z+1/2'
loop_
_atom_site_label
_atom_site_type_symbol
_atom_site_fract_x
_atom_site_fract_y
_atom_site_fract_z
Sr1 Sr 0.000 0.000 0.240
Sr2 Sr 0.242 0.246 0.500
Li1 Li 0.019 0.635 0.262
Li2 Li 0.206 0.577 0.500
Ta1 Ta 0.214 0.363 0.000
N1 N 0.047 0.216 0.000
N2 N 0.074 0.779 0.500
N3 N 0.198 0.481 0.234